1.
First-principles (PBE with a Hubbard U) data for a geometry-optimized Cu2WO4 structure, as listed in Materials Project.

The calculation puts the formation energy at -657 meV per atom. The magnetic moment comes out at 0.005 Bohr magnetons per cell. For the offset from the most stable computed form, the calculation gives 0.791 eV/atom.

a b c (Å): 7.144 8.507 8.475
angles (deg): 117.19 116.71 82.77
Atoms (fractional coordinates):
W1 0.856 0.825 0.965
O1 0.211 0.604 0.796
Cu1 0.402 0.887 0.310
O2 0.019 0.679 0.061
O3 0.280 0.287 0.303
Cu2 0.457 0.799 0.590
Cu3 0.758 0.466 0.001
O4 0.681 0.982 0.093
Cu4 0.598 0.113 0.690
Cu5 0.242 0.534 0.999
W2 0.395 0.796 0.961
O5 0.166 0.829 0.463
O6 0.981 0.321 0.939
O7 0.834 0.171 0.537
O8 0.016 0.807 0.521
O9 0.632 0.666 0.955
O10 0.147 0.927 0.043
O11 0.319 0.018 0.907
O12 0.789 0.396 0.204
W3 0.605 0.204 0.039
Cu6 0.226 0.079 0.538
Cu7 0.774 0.921 0.462
W4 0.144 0.175 0.035
O13 0.984 0.193 0.479
O14 0.853 0.073 0.957
Cu8 0.543 0.201 0.410
O15 0.368 0.334 0.045
O16 0.720 0.713 0.697



2.
First-principles (PBE with a Hubbard U) data for a geometry-optimized Cu3W4O12 structure, as listed in Materials Project.

The calculation puts the formation energy at -1678 meV per atom. The magnetic moment comes out at 2.996 Bohr magnetons per cell.

a b c (Å): 6.593 6.593 6.593
angles (deg): 109.47 109.47 109.47
Atoms (fractional coordinates):
O1 0.182 0.873 0.691
O2 0.873 0.691 0.182
O3 0.818 0.509 0.691
W1 0.000 0.500 0.000
O4 0.691 0.182 0.873
Cu1 0.500 0.500 0.000
W2 0.500 0.000 0.000
O5 0.491 0.309 0.182
O6 0.691 0.818 0.509
O7 0.127 0.309 0.818
Cu2 0.500 0.000 0.500
O8 0.818 0.127 0.309
O9 0.509 0.691 0.818
Cu3 0.000 0.500 0.500
O10 0.182 0.491 0.309
O11 0.309 0.818 0.127
W3 0.500 0.500 0.500
O12 0.309 0.182 0.491
W4 0.000 0.000 0.500



3.
First-principles (PBE with a Hubbard U) data for a geometry-optimized Cu2WO4 structure, as listed in Materials Project.

The calculation puts the formation energy at -1444 meV per atom. The magnetic moment comes out at 0.000 Bohr magnetons per cell. For the offset from the most stable computed form, the calculation gives 0.004 eV/atom.

a b c (Å): 5.946 8.010 8.301
angles (deg): 110.18 96.09 93.26
Atoms (fractional coordinates):
W1 0.756 0.608 0.230
O1 0.646 0.075 0.708
O2 0.529 0.420 0.282
O3 0.369 0.063 0.240
O4 0.664 0.956 0.984
Cu1 0.950 0.878 0.939
O5 0.380 0.169 0.944
Cu2 0.243 0.487 0.340
O6 0.208 0.915 0.590
Cu3 0.291 0.956 0.394
Cu4 0.092 0.249 0.998
O7 0.968 0.577 0.405
W2 0.583 0.325 0.821
Cu5 0.232 0.616 0.052
O8 0.561 0.701 0.651
Cu6 0.082 0.255 0.506
O9 0.800 0.323 0.050
O10 0.970 0.706 0.133
Cu7 0.854 0.567 0.610
O11 0.812 0.431 0.753
O12 0.521 0.542 0.010
Cu8 0.930 0.003 0.648
O13 0.213 0.787 0.861
O14 0.337 0.322 0.671
W3 0.599 0.171 0.174
O15 0.626 0.797 0.349
W4 0.424 0.890 0.766
O16 0.839 0.178 0.330



4.
First-principles (PBE with a Hubbard U) data for a geometry-optimized Cu2WO4 structure, as listed in Materials Project.

The calculation puts the formation energy at -1393 meV per atom. The magnetic moment comes out at 0.001 Bohr magnetons per cell. For the offset from the most stable computed form, the calculation gives 0.055 eV/atom.

a b c (Å): 5.770 8.459 9.667
angles (deg): 119.71 80.98 98.54
Atoms (fractional coordinates):
O1 0.451 0.648 0.601
Cu1 0.670 0.547 0.158
Cu2 0.493 0.871 0.849
W1 0.924 0.797 0.994
Cu3 0.979 0.889 0.625
O2 0.632 0.714 0.069
O3 0.041 0.881 0.201
O4 0.919 0.408 0.111
Cu4 0.021 0.111 0.375
W2 0.720 0.493 0.586
Cu5 0.649 0.179 0.845
Cu6 0.507 0.129 0.151
W3 0.076 0.203 0.006
O5 0.549 0.352 0.399
Cu7 0.351 0.821 0.155
O6 0.397 0.632 0.310
O7 0.231 0.273 0.211
O8 0.990 0.637 0.493
O9 0.081 0.592 0.889
O10 0.817 0.057 0.077
W4 0.280 0.507 0.414
O11 0.603 0.368 0.690
O12 0.769 0.727 0.789
Cu8 0.330 0.453 0.842
O13 0.368 0.286 0.931
O14 0.010 0.363 0.507
O15 0.959 0.119 0.799
O16 0.183 0.943 0.923



5.
First-principles (PBE with a Hubbard U) data for a geometry-optimized Cu2WO4 structure, as listed in Materials Project.

The calculation puts the formation energy at -1247 meV per atom. The magnetic moment comes out at 0.000 Bohr magnetons per cell. For the offset from the most stable computed form, the calculation gives 0.201 eV/atom.

a b c (Å): 7.357 7.548 7.999
angles (deg): 97.89 102.87 94.62
Atoms (fractional coordinates):
O1 0.393 0.328 0.946
O2 0.175 0.988 0.791
W1 0.992 0.244 0.268
Cu1 0.360 0.851 0.295
O3 0.825 0.012 0.209
O4 0.607 0.672 0.054
Cu2 0.278 0.047 0.542
O5 0.683 0.288 0.552
Cu3 0.620 0.400 0.127
O6 0.317 0.712 0.448
W2 0.241 0.157 0.008
O7 0.387 0.012 0.138
W3 0.759 0.843 0.992
O8 0.238 0.313 0.235
O9 0.981 0.177 0.999
O10 0.862 0.436 0.273
Cu4 0.640 0.149 0.705
O11 0.762 0.687 0.765
Cu5 0.513 0.177 0.361
O12 0.911 0.795 0.514
O13 0.138 0.564 0.727
Cu6 0.722 0.953 0.458
O14 0.089 0.205 0.486
O15 0.613 0.988 0.862
Cu7 0.487 0.823 0.639
W4 0.008 0.756 0.732
O16 0.019 0.823 0.001
Cu8 0.380 0.600 0.873



6.
First-principles (PBE with a Hubbard U) data for a geometry-optimized Y2Cu3W6O24 structure, as listed in Materials Project.

The calculation puts the formation energy at -2161 meV per atom. The magnetic moment comes out at 3.003 Bohr magnetons per cell. For the offset from the most stable computed form, the calculation gives 0.024 eV/atom.

a b c (Å): 6.060 6.202 13.676
angles (deg): 99.27 91.50 109.04
Atoms (fractional coordinates):
O1 0.117 0.053 0.176
O2 0.780 0.069 0.494
O3 0.640 0.316 0.649
O4 0.981 0.339 0.319
O5 0.692 0.666 0.016
O6 0.188 0.478 0.511
Y1 0.333 0.992 0.670
O7 0.812 0.522 0.489
O8 0.308 0.334 0.984
W1 0.075 0.673 0.414
O9 0.360 0.684 0.351
O10 0.469 0.529 0.824
O11 0.910 0.779 0.332
O12 0.019 0.661 0.681
O13 0.570 0.749 0.652
W2 0.421 0.669 0.077
O14 0.220 0.931 0.506
Cu1 0.172 0.543 0.856
O15 0.531 0.471 0.176
Y2 0.667 0.008 0.330
O16 0.090 0.221 0.668
O17 0.849 0.481 0.844
O18 0.258 0.749 0.983
W3 0.741 0.675 0.753
O19 0.430 0.251 0.348
O20 0.883 0.947 0.824
O21 0.742 0.251 0.017
W4 0.259 0.325 0.247
W5 0.925 0.327 0.586
Cu2 0.828 0.457 0.144
W6 0.579 0.331 0.923
O22 0.549 0.935 0.169
O23 0.451 0.065 0.831
O24 0.151 0.519 0.156
Cu3 0.500 0.500 0.500



7.
First-principles (PBE with a Hubbard U) data for a geometry-optimized YCuW2O8 structure, as listed in Materials Project.

The calculation puts the formation energy at -2375 meV per atom. The magnetic moment comes out at 0.000 Bohr magnetons per cell.

a b c (Å): 5.143 6.080 6.118
angles (deg): 108.91 91.75 113.74
Atoms (fractional coordinates):
O1 0.351 0.211 0.606
W1 0.626 0.389 0.945
Cu1 0.864 0.894 0.770
O2 0.840 0.198 0.800
Y1 0.378 0.901 0.278
O3 0.908 0.602 0.751
O4 0.356 0.651 0.497
W2 0.125 0.412 0.610
O5 0.398 0.154 0.062
O6 0.401 0.591 0.950
O7 0.890 0.638 0.204
O8 0.866 0.162 0.348



8.
First-principles (PBE with a Hubbard U) data for a geometry-optimized YCu3W4O12 structure, as listed in Materials Project.

The calculation puts the formation energy at -1865 meV per atom. The magnetic moment comes out at 6.000 Bohr magnetons per cell.

a b c (Å): 6.659 6.723 6.765
angles (deg): 109.57 109.24 108.91
Atoms (fractional coordinates):
O1 0.836 0.706 0.545
O2 0.292 0.463 0.167
Y1 0.000 0.000 0.000
W1 0.500 0.000 0.000
O3 0.534 0.828 0.710
O4 0.164 0.294 0.455
Cu1 0.500 0.000 0.500
O5 0.295 0.119 0.825
O6 0.192 0.725 0.895
O7 0.705 0.881 0.175
O8 0.708 0.537 0.833
O9 0.879 0.169 0.713
O10 0.121 0.831 0.287
W2 0.000 0.000 0.500
Cu2 0.000 0.500 0.500
O11 0.808 0.275 0.105
W3 0.500 0.500 0.500
Cu3 0.500 0.500 0.000
O12 0.466 0.172 0.290
W4 0.000 0.500 0.000



9.
First-principles (PBE with a Hubbard U) data for a geometry-optimized YCuW2O8 structure, as listed in Materials Project.

The calculation puts the formation energy at -2373 meV per atom. The magnetic moment comes out at 0.000 Bohr magnetons per cell.

a b c (Å): 6.075 5.074 11.035
angles (deg): 65.78 90.00 90.00
Atoms (fractional coordinates):
O1 0.886 0.159 0.904
O2 0.360 0.714 0.391
O3 0.640 0.286 0.609
W1 0.833 0.737 0.013
O4 0.356 0.230 0.862
Cu1 0.730 0.000 0.250
W2 0.833 0.263 0.487
W3 0.167 0.737 0.513
W4 0.167 0.263 0.987
O5 0.087 0.660 0.890
O6 0.913 0.660 0.390
O7 0.087 0.340 0.610
Cu2 0.270 0.000 0.750
Y1 0.335 0.500 0.250
Y2 0.665 0.500 0.750
O8 0.640 0.714 0.891
O9 0.114 0.841 0.096
O10 0.913 0.340 0.110
O11 0.886 0.841 0.596
O12 0.114 0.159 0.404
O13 0.644 0.230 0.362
O14 0.356 0.770 0.638
O15 0.644 0.770 0.138
O16 0.360 0.286 0.109



10.
First-principles (PBE with a Hubbard U) data for a geometry-optimized Y2Cu3W6O24 structure, as listed in Materials Project.

The calculation puts the formation energy at -2185 meV per atom. The magnetic moment comes out at 6.000 Bohr magnetons per cell. For the offset from the most stable computed form, the calculation gives 0.000 eV/atom.

a b c (Å): 6.024 9.915 17.570
angles (deg): 59.49 90.00 90.00
Atoms (fractional coordinates):
O1 0.095 0.792 0.314
O2 0.344 0.003 0.140
W1 0.836 0.739 0.248
Cu1 0.736 0.000 0.750
O3 0.329 0.327 0.813
W2 0.834 0.083 0.914
O4 0.607 0.522 0.873
O5 0.889 0.720 0.684
O6 0.656 0.003 0.640
W3 0.834 0.917 0.586
O7 0.111 0.720 0.184
O8 0.656 0.997 0.860
W4 0.164 0.739 0.748
W5 0.176 0.584 0.415
O9 0.114 0.620 0.983
Cu2 0.287 0.666 0.582
O10 0.112 0.957 0.648
O11 0.914 0.873 0.018
W6 0.836 0.261 0.252
O12 0.889 0.280 0.816
O13 0.347 0.333 0.027
O14 0.628 0.187 0.205
O15 0.086 0.873 0.518
O16 0.653 0.667 0.973
O17 0.344 0.997 0.360
O18 0.905 0.208 0.686
O19 0.111 0.280 0.316
O20 0.372 0.813 0.795
O21 0.671 0.327 0.313
W7 0.166 0.917 0.086
O22 0.909 0.459 0.146
Y1 0.666 0.168 0.085
O23 0.091 0.459 0.646
O24 0.095 0.208 0.186
O25 0.329 0.673 0.687
O26 0.086 0.127 0.982
O27 0.372 0.187 0.705
O28 0.607 0.478 0.627
Cu3 0.264 0.000 0.250
Y2 0.334 0.168 0.585
O29 0.091 0.541 0.854
O30 0.914 0.127 0.482
O31 0.622 0.142 0.966
O32 0.378 0.142 0.466
W8 0.824 0.584 0.915
Cu4 0.287 0.334 0.918
O33 0.905 0.792 0.814
O34 0.909 0.541 0.354
O35 0.393 0.522 0.373
Y3 0.334 0.832 0.915
O36 0.653 0.333 0.527
W9 0.824 0.416 0.585
O37 0.888 0.957 0.148
O38 0.112 0.043 0.852
O39 0.393 0.478 0.127
Y4 0.666 0.832 0.415
O40 0.347 0.667 0.473
W10 0.166 0.083 0.414
W11 0.164 0.261 0.752
O41 0.378 0.858 0.034
O42 0.628 0.813 0.295
Cu5 0.713 0.666 0.082
O43 0.622 0.858 0.534
O44 0.886 0.620 0.483
W12 0.176 0.416 0.085
O45 0.114 0.380 0.517
Cu6 0.713 0.334 0.418
O46 0.888 0.043 0.352
O47 0.886 0.380 0.017
O48 0.671 0.673 0.187



11.
First-principles (PBE with a Hubbard U) data for a geometry-optimized YCuW2O8 structure, as listed in Materials Project.

The calculation puts the formation energy at -2376 meV per atom. The magnetic moment comes out at 0.000 Bohr magnetons per cell.

a b c (Å): 5.150 6.060 6.184
angles (deg): 108.65 91.85 113.86
Atoms (fractional coordinates):
O1 0.484 0.762 0.081
W1 0.249 0.987 0.664
O2 0.463 0.797 0.526
O3 0.978 0.244 0.214
O4 0.516 0.238 0.919
Cu1 0.500 0.500 0.500
O5 0.022 0.756 0.786
O6 0.027 0.192 0.669
W2 0.751 0.013 0.336
Y1 0.000 0.500 0.000
O7 0.537 0.203 0.474
O8 0.973 0.808 0.331